Record 1
Density functional theory data (PBE-GGA) for a geometry-optimized CePS4 structure.

```
CePS4
1.0
-5.5532 5.5532 9.6962
5.5532 -5.5532 9.6962
5.5532 5.5532 -9.6962
Ce P S
8 8 32
Direct
0.1250 0.3750 0.7500
0.1250 0.8750 0.2500
0.3750 0.1250 0.2500
0.3750 0.6250 0.7500
0.6250 0.3750 0.2500
0.6250 0.8750 0.7500
0.8750 0.1250 0.7500
0.8750 0.6250 0.2500
0.2142 0.2500 0.4642
0.2500 0.2858 0.0358
0.2500 0.7858 0.5358
0.2858 0.7500 0.0358
0.7142 0.2500 0.9642
0.7500 0.2142 0.4642
0.7500 0.7142 0.9642
0.7858 0.7500 0.5358
0.0917 0.8826 0.4780
0.0954 0.3863 0.9780
0.0954 0.6640 0.9349
0.1137 0.4046 0.5220
0.1174 0.0954 0.2091
0.1605 0.0954 0.9314
0.1640 0.5954 0.4349
0.2291 0.1605 0.5651
0.2709 0.8360 0.9314
0.3360 0.7709 0.4314
0.3395 0.2709 0.9349
0.3826 0.5917 0.9780
0.3863 0.9083 0.2909
0.4046 0.3395 0.5686
0.4046 0.3826 0.2909
0.4083 0.8863 0.7909
0.5917 0.1137 0.2091
0.5954 0.6174 0.7091
0.5954 0.6605 0.4314
0.6137 0.0917 0.7091
0.6174 0.4083 0.0220
0.6605 0.7291 0.0651
0.6640 0.2291 0.5686
0.7291 0.1640 0.0686
0.7709 0.8395 0.4349
0.8360 0.4046 0.5651
0.8395 0.9046 0.0686
0.8826 0.9046 0.7909
0.8863 0.5954 0.4780
0.9046 0.3360 0.0651
0.9046 0.6137 0.0220
0.9083 0.1174 0.5220
```

Computed properties:
The calculation puts the total energy after the MP2020 corrections at -6.01 eV/atom. Its magnetic moment is 0.167 μB/atom. For the energy of formation from the pure elements, the calculation gives -1.361 eV/atom. For the raw total energy, the calculation gives -0.209 hartree per atom.

Record 2
Density functional theory data (PBE-GGA) for a geometry-optimized Cd3PI3 structure.

```
Cd3PI3
1.0
7.4250 0.0000 0.0000
0.0000 4.5133 0.0000
-0.1376 0.0000 7.8651
Cd P I
3 1 3
Direct
0.0000 0.0000 0.0000
0.0256 0.5000 0.5852
0.5714 0.5000 0.8671
0.9095 0.5000 0.8830
0.4061 0.5000 0.5359
0.4083 0.0000 0.0539
0.8973 0.0000 0.3738
```

Computed properties:
The calculation puts the total energy after the MP2020 corrections at -2.42 eV/atom. For the energy of formation from the pure elements, the calculation gives -0.597 eV/atom. For the raw total energy, the calculation gives -0.083 hartree per atom. As for the maximum piezoelectric response: 0.687 C/m².

Record 3
Density functional theory data (PBE-GGA) for a geometry-optimized FeNi2Ge structure.

```
FeNi2Ge
1.0
3.5180 0.0000 0.0000
0.0000 3.5180 0.0000
0.0000 0.0000 3.6753
Fe Ni Ge
1 2 1
Direct
0.0000 0.0000 0.0000
0.0000 0.5000 0.5000
0.5000 0.0000 0.5000
0.5000 0.5000 0.0000
```

Computed properties:
Its magnetic moment is 0.578 μB/atom. For the energy of formation from the pure elements, the calculation gives -0.162 eV/atom. For the raw total energy, the calculation gives -0.232 hartree per atom.